# 1
Here is an optimized crystal structure of CsEuCl3 from the Materials Project. Energies are from r2SCAN.

Unit cell a=7.848 b=7.964 c=11.211 alpha=90.00 beta=90.00 gamma=90.00
Sites, in units of the cell vectors:
Cl (0.711, 0.788, 0.533)
Cs (0.490, 0.956, 0.250)
Cl (0.789, 0.288, 0.967)
Eu (0.500, 0.500, 0.000)
Cl (0.437, 0.490, 0.750)
Eu (0.500, 0.500, 0.500)
Cl (0.063, 0.990, 0.750)
Cl (0.211, 0.712, 0.033)
Cl (0.211, 0.712, 0.467)
Cl (0.289, 0.212, 0.467)
Cl (0.937, 0.010, 0.250)
Cs (0.990, 0.544, 0.750)
Eu (0.000, 0.000, 0.000)
Cs (0.510, 0.044, 0.750)
Cl (0.711, 0.788, 0.967)
Cl (0.789, 0.288, 0.533)
Eu (0.000, 0.000, 0.500)
Cl (0.563, 0.510, 0.250)
Cl (0.289, 0.212, 0.033)
Cs (0.010, 0.456, 0.250)

Output
- Energy of formation: -2.50 eV per atom
- Magnetic moment: 28.0 μB/cell
- Total energy: -18.9174 eV per atom
- Calculated volume: 35.0 Å³ per atom



# 2
Here is an optimized crystal structure of AlPd5 from the Materials Project. Energies are from r2SCAN.

Unit cell a=4.003 b=8.133 c=10.816 alpha=90.00 beta=90.00 gamma=90.00
Sites, in units of the cell vectors:
Pd (0.750, 0.073, 0.430)
Pd (0.750, 0.386, 0.184)
Al (0.750, 0.113, 0.921)
Pd (0.250, 0.927, 0.570)
Pd (0.250, 0.284, 0.797)
Pd (0.750, 0.427, 0.930)
Al (0.750, 0.387, 0.421)
Al (0.250, 0.613, 0.579)
Al (0.250, 0.887, 0.079)
Pd (0.750, 0.784, 0.703)
Pd (0.250, 0.545, 0.336)
Pd (0.750, 0.782, 0.957)
Pd (0.250, 0.216, 0.297)
Pd (0.250, 0.614, 0.816)
Pd (0.250, 0.218, 0.043)
Pd (0.250, 0.573, 0.070)
Pd (0.750, 0.114, 0.684)
Pd (0.750, 0.455, 0.664)
Pd (0.250, 0.282, 0.543)
Pd (0.250, 0.886, 0.316)
Pd (0.750, 0.718, 0.457)
Pd (0.750, 0.716, 0.203)
Pd (0.250, 0.955, 0.836)
Pd (0.750, 0.045, 0.164)

Output
- Energy of formation: -0.46 eV per atom
- Magnetic moment: 0.0 μB/cell
- Total energy: -20.7178 eV per atom
- Calculated volume: 14.7 Å³ per atom



# 3
Here is an optimized crystal structure of LiYbPb from the Materials Project. Energies are from r2SCAN.

Unit cell a=4.674 b=4.674 c=10.820 alpha=90.00 beta=90.00 gamma=120.00
Sites, in units of the cell vectors:
Li (0.333, 0.667, 0.500)
Pb (0.333, 0.667, 0.826)
Yb (0.667, 0.333, 0.664)
Pb (0.000, 0.000, 0.500)
Li (0.000, 0.000, 0.807)
Pb (0.333, 0.667, 0.174)
Li (0.000, 0.000, 0.193)
Yb (0.667, 0.333, 0.336)
Yb (0.667, 0.333, 0.000)

Output
- Energy of formation: -0.55 eV per atom
- Magnetic moment: 0.0 μB/cell
- Total energy: -32.2871 eV per atom
- Calculated volume: 22.7 Å³ per atom



# 4
Here is an optimized crystal structure of Th3Pt5 from the Materials Project. Energies are from r2SCAN.

Unit cell a=3.878 b=7.246 c=7.246 alpha=120.00 beta=90.00 gamma=90.00
Sites, in units of the cell vectors:
Pt (0.000, 0.772, 0.772)
Th (0.500, 0.640, 0.000)
Pt (0.000, 0.333, 0.667)
Pt (0.000, 0.000, 0.228)
Pt (0.000, 0.667, 0.333)
Pt (0.000, 0.228, 0.000)
Th (0.500, 0.360, 0.360)
Th (0.500, 0.000, 0.640)

Output
- Energy of formation: -1.34 eV per atom
- Magnetic moment: 0.0 μB/cell
- Total energy: -61.0700 eV per atom
- Calculated volume: 22.0 Å³ per atom



# 5
Here is an optimized crystal structure of Ca2LaTaO6 from the Materials Project. Energies are from r2SCAN.

Unit cell a=5.665 b=5.914 c=8.171 alpha=90.00 beta=90.19 gamma=90.00
Sites, in units of the cell vectors:
O (0.172, 0.279, 0.932)
La (0.986, 0.446, 0.254)
Ta (0.500, 0.503, 0.502)
O (0.116, 0.049, 0.229)
O (0.213, 0.322, 0.551)
O (0.287, 0.820, 0.947)
La (0.486, 0.054, 0.754)
Ta (0.000, 0.997, 0.002)
Ca (0.499, 0.502, 0.999)
O (0.616, 0.451, 0.729)
Ca (0.999, 0.998, 0.499)
O (0.787, 0.680, 0.447)
O (0.887, 0.945, 0.771)
Ca (0.015, 0.554, 0.745)
O (0.325, 0.782, 0.569)
O (0.672, 0.221, 0.432)
Ca (0.515, 0.946, 0.245)
O (0.387, 0.555, 0.271)
O (0.825, 0.718, 0.069)
O (0.713, 0.178, 0.051)

Output
- Energy of formation: -3.46 eV per atom
- Magnetic moment: 0.0 μB/cell
- Total energy: -16.2854 eV per atom
- Calculated volume: 13.7 Å³ per atom



# 6
Here is an optimized crystal structure of TiCrTc2 from the Materials Project. Energies are from r2SCAN.

Unit cell a=4.272 b=4.272 c=4.272 alpha=60.00 beta=60.00 gamma=60.00
Sites, in units of the cell vectors:
Tc (0.250, 0.250, 0.250)
Tc (0.750, 0.750, 0.750)
Cr (0.500, 0.500, 0.500)
Ti (0.000, 0.000, 0.000)

Output
- Energy of formation: -0.22 eV per atom
- Magnetic moment: 0.0 μB/cell
- Total energy: -20.2071 eV per atom
- Calculated volume: 13.8 Å³ per atom